1.
Below is a geometry-optimized ErHO2 structure, with properties calculated at the r2SCAN level.

The value obtained for the electronic total energy is -15.2576 eV per atom. The size of the total moment comes out at 0.00 μB per formula unit. As for the energy of formation from the pure elements: -11.7 eV per formula unit.

The space group is P2_1/m (No. 11) and the conventional cell measures 4.258, 3.577 and 5.878 Å, with angles of 90.00, 109.29 and 90.00 degrees. The distinct sites, in fractional coordinates, are Er at (0.167, 0.250, 0.311), H at (0.485, 0.750, 0.083), O at (0.251, 0.750, 0.062) and O at (0.267, 0.750, 0.552).

=====

2.
Below is a geometry-optimized ErHfRu2 structure, with properties calculated at the r2SCAN level.

The value obtained for the electronic total energy is -33.1487 eV per atom. The size of the total moment comes out at 0.00 μB per formula unit. As for the energy of formation from the pure elements: -2.7 eV per formula unit.

The space group is Fm-3m (No. 225) and the conventional cell measures 6.558, 6.558 and 6.558 Å, with angles of 90.00, 90.00 and 90.00 degrees. The distinct sites, in fractional coordinates, are Er at (0.000, 0.000, 0.000), Hf at (0.000, 0.000, 0.500) and Ru at (0.250, 0.250, 0.250).

=====

3.
Below is a geometry-optimized ErHg3 structure, with properties calculated at the r2SCAN level.

The value obtained for the electronic total energy is -45.8820 eV per atom. The size of the total moment comes out at 0.00 μB per formula unit. As for the energy of formation from the pure elements: -1.5 eV per formula unit.

The space group is P6_3/mmc (No. 194) and the conventional cell measures 6.5638, 6.5638 and 4.9298 Å, with angles of 90.00, 90.00 and 120.00 degrees. The distinct sites, in fractional coordinates, are Er at (0.3333, 0.6667, 0.2500) and Hg at (0.1667, 0.3334, 0.7500).